Record 1
Ho5Pb3: relaxed, meta-GGA r2SCAN.

```
Ho5Pb3
1.0
-8.516 -0.023 -2.774
4.532 -7.701 0.610
-2.026 -0.699 6.226
Ho Pb
10 6
Direct
0.333 0.667 0.500
0.667 0.333 0.500
0.238 0.000 0.250
0.762 0.000 0.750
0.762 0.762 0.250
0.667 0.333 0.000
0.000 0.762 0.750
0.000 0.238 0.250
0.238 0.238 0.750
0.333 0.667 0.000
0.606 0.606 0.750
0.394 0.000 0.750
0.394 0.394 0.250
0.000 0.606 0.250
0.000 0.394 0.750
0.606 0.000 0.250
```

Summary:
V: 457.4 Å³ per cell
Energy relative to the elements: -0.699 eV/atom
Crystal system: hexagonal
Energy: -42.356 eV/atom

---

Record 2
HoPb3: relaxed, meta-GGA r2SCAN.

```
HoPb3
1.0
-2.267 1.464 -4.022
2.577 -3.168 -2.605
-3.418 -3.359 0.704
Pb Ho
3 1
Direct
0.000 0.500 0.500
0.500 0.000 0.500
0.500 0.500 0.000
0.000 0.000 0.000
```

Summary:
V: 113.6 Å³ per cell
Energy relative to the elements: -0.331 eV/atom
Crystal system: cubic
Energy: -50.765 eV/atom

---

Record 3
HoRh2Pb: relaxed, meta-GGA r2SCAN.

```
HoRh2Pb
1.0
0.000 3.339 3.339
3.339 0.000 3.339
3.339 3.339 0.000
Pb Ho Rh
1 1 2
Direct
0.000 0.000 0.000
0.500 0.500 0.500
0.750 0.750 0.750
0.250 0.250 0.250
```

Summary:
V: 74.4 Å³ per cell
Energy relative to the elements: -0.633 eV/atom
Crystal system: cubic
Energy: -34.993 eV/atom

---

Record 4
Ho2PbS4: relaxed, meta-GGA r2SCAN.

```
Ho2PbS4
1.0
-0.186 0.938 3.839
-11.583 -3.231 0.226
3.806 -13.402 3.459
S Ho Pb
16 8 4
Direct
0.250 0.017 0.288
0.750 0.295 0.330
0.750 0.588 0.423
0.250 0.412 0.577
0.250 0.912 0.923
0.750 0.873 0.473
0.250 0.517 0.212
0.250 0.127 0.528
0.750 0.373 0.027
0.750 0.483 0.788
0.250 0.627 0.972
0.250 0.205 0.830
0.750 0.088 0.077
0.750 0.795 0.170
0.250 0.705 0.670
0.750 0.983 0.712
0.750 0.560 0.609
0.250 0.416 0.899
0.750 0.084 0.399
0.250 0.940 0.109
0.750 0.060 0.891
0.750 0.584 0.101
0.250 0.440 0.391
0.250 0.916 0.601
0.250 0.778 0.336
0.750 0.222 0.664
0.750 0.722 0.837
0.250 0.278 0.164
```

Summary:
V: 683.1 Å³ per cell
Energy relative to the elements: -1.891 eV/atom
Crystal system: orthorhombic
Energy: -23.917 eV/atom